Material: BaDy2NiO5
Method: DFT, PBE with a Hubbard U
State: relaxed

abc: 6.6891 6.6891 6.6891
angles: 147.01 128.51 62.52
Closest atoms and distances in Å follow each position.
Fractional coordinates of all 9 atoms:
Ba 0.0000 0.0000 0.0000  10 O 2.91-2.97
Dy 0.2967 0.7967 0.5000  7 O 2.26-2.43
Dy 0.7033 0.2033 0.5000  7 O 2.26-2.43
Ni 0.5000 0.5000 0.0000  2 O 1.90
O 0.1100 0.3501 0.7599  1 Ni 2.21, 3 Dy 2.26-2.43
O 0.4099 0.6499 0.7599  1 Ni 2.21, 3 Dy 2.26-2.43
O 0.5000 0.0000 0.5000  2 Ni 1.90
O 0.5901 0.3501 0.2401  1 Ni 2.21, 3 Dy 2.26-2.43
O 0.8900 0.6499 0.2401  1 Ni 2.21, 3 Dy 2.26-2.43

Values from the calculation:
**V**: 14.0 Å³ per atom
**Magnetic moment**: 2.00 μB per cell
**Corrected total energy (MP2020 scheme)**: -69.8 eV per cell
**Electronic total energy**: -7.093 eV per atom


Material: Na2CoNiF7
Method: DFT, PBE with a Hubbard U
State: relaxed

abc: 7.3574 7.3574 7.3574
angles: 119.93 90.20 119.84
Closest atoms and distances in Å follow each position.
Fractional coordinates of all 22 atoms:
Na 0.0000 0.0000 0.0000  2 F 2.22
Na 0.5000 0.0000 0.0000  4 F 2.42
Na 0.5000 0.0000 0.5000  2 F 2.22
Na 0.5000 0.5000 0.5000  4 F 2.42
Co 0.0000 0.0000 0.5000  6 F 1.90-1.96
Co 0.0000 0.5000 0.0000  6 F 1.90-1.96
Ni 0.0000 0.5000 0.5000  6 F 2.00-2.06
Ni 0.5000 0.5000 0.0000  6 F 2.00-2.06
F 0.0469 0.2171 0.4096  1 Co 1.90, 1 Ni 2.06
F 0.0469 0.6374 0.8299  1 Co 1.90, 1 Ni 2.06
F 0.0900 0.8400 0.2500  2 Co 1.96
F 0.3075 0.2171 0.6701  1 Co 1.90, 1 Ni 2.06
F 0.3075 0.6374 0.0904  1 Co 1.90, 1 Ni 2.06
F 0.3320 0.7328 0.5993  1 Ni 2.00, 1 Na 2.22
F 0.3665 0.2672 0.0993  1 Ni 2.00, 1 Na 2.22
F 0.6335 0.7328 0.9007  1 Ni 2.00, 1 Na 2.22
F 0.6680 0.2672 0.4007  1 Ni 2.00, 1 Na 2.22
F 0.6925 0.3626 0.9096  1 Co 1.90, 1 Ni 2.06
F 0.6925 0.7829 0.3299  1 Co 1.90, 1 Ni 2.06
F 0.9100 0.1600 0.7500  2 Co 1.96
F 0.9531 0.3626 0.1701  1 Co 1.90, 1 Ni 2.06
F 0.9531 0.7829 0.5904  1 Co 1.90, 1 Ni 2.06

Values from the calculation:
**V**: 12.8 Å³ per atom
**Magnetic moment**: 12.00 μB per cell
**Corrected total energy (MP2020 scheme)**: -113.5 eV per cell
**Electronic total energy**: -4.484 eV per atom


Material: Ba4NbFeO8
Method: DFT, PBE with a Hubbard U
State: relaxed

abc: 7.6550 6.1341 21.2320
angles: 90.00 97.98 90.00
Closest atoms and distances in Å follow each position.
Fractional coordinates of all 56 atoms:
Ba 0.0117 0.2422 0.3615  6 O 2.60-2.89
Ba 0.0117 0.2578 0.8615  6 O 2.60-2.89
Ba 0.2033 0.2254 0.0474  4 O 2.56-2.80
Ba 0.2033 0.2746 0.5474  4 O 2.56-2.80
Ba 0.3460 0.7191 0.2885  7 O 2.77-3.09
Ba 0.3460 0.7809 0.7885  7 O 2.77-3.09
Ba 0.4686 0.7394 0.0983  6 O 2.56-2.84
Ba 0.4686 0.7606 0.5983  6 O 2.56-2.84
Ba 0.5314 0.2394 0.4017  6 O 2.56-2.84
Ba 0.5314 0.2606 0.9017  6 O 2.56-2.84
Ba 0.6540 0.2191 0.2115  7 O 2.77-3.09
Ba 0.6540 0.2809 0.7115  7 O 2.77-3.09
Ba 0.7967 0.7254 0.4526  4 O 2.56-2.80
Ba 0.7967 0.7746 0.9526  4 O 2.56-2.80
Ba 0.9883 0.7422 0.1385  6 O 2.60-2.89
Ba 0.9883 0.7578 0.6385  6 O 2.60-2.89
Nb 0.1579 0.2348 0.2118  4 O 1.92-2.11
Nb 0.1579 0.2652 0.7118  4 O 1.92-2.11
Nb 0.8421 0.7348 0.2882  4 O 1.92-2.11
Nb 0.8421 0.7652 0.7882  4 O 1.92-2.11
Fe 0.2345 0.7217 0.9410  4 O 1.88-1.97
Fe 0.2345 0.7783 0.4410  4 O 1.88-1.97
Fe 0.7655 0.2217 0.5590  4 O 1.88-1.97
Fe 0.7655 0.2783 0.0590  4 O 1.88-1.97
O 0.0015 0.0034 0.2518  2 Nb 2.11-2.25
O 0.0015 0.4966 0.7518  2 Nb 2.11-2.25
O 0.0489 0.7254 0.3686  1 Fe 1.97, 1 Nb 2.16
O 0.0489 0.7746 0.8686  1 Fe 1.97, 1 Nb 2.16
O 0.1576 0.6967 0.5197  1 Fe 1.91
O 0.1576 0.8033 0.0197  1 Fe 1.91
O 0.2606 0.0849 0.4448  1 Fe 1.89
O 0.2606 0.4151 0.9448  1 Fe 1.89
O 0.2748 0.0326 0.6687  1 Nb 1.97
O 0.2748 0.4674 0.1687  1 Nb 1.97
O 0.2877 0.0046 0.1781  1 Nb 1.92
O 0.2877 0.4954 0.6781  1 Nb 1.92
O 0.3103 0.2359 0.7923  1 Nb 1.94
O 0.3103 0.2641 0.2923  1 Nb 1.94
O 0.4416 0.6545 0.4180  1 Fe 1.88
O 0.4416 0.8455 0.9180  1 Fe 1.88
O 0.5584 0.1545 0.0820  1 Fe 1.88
O 0.5584 0.3455 0.5820  1 Fe 1.88
O 0.6897 0.7359 0.7077  1 Nb 1.94
O 0.6897 0.7641 0.2077  1 Nb 1.94
O 0.7123 0.5046 0.3219  1 Nb 1.92
O 0.7123 0.9954 0.8219  1 Nb 1.92
O 0.7252 0.5326 0.8313  1 Nb 1.97
O 0.7252 0.9674 0.3313  1 Nb 1.97
O 0.7394 0.5849 0.0552  1 Fe 1.89
O 0.7394 0.9151 0.5552  1 Fe 1.89
O 0.8424 0.1967 0.9803  1 Fe 1.91
O 0.8424 0.3033 0.4803  1 Fe 1.91
O 0.9511 0.2254 0.1314  1 Fe 1.97, 1 Nb 2.16
O 0.9511 0.2746 0.6314  1 Fe 1.97, 1 Nb 2.16
O 0.9985 0.5034 0.2482  2 Nb 2.11-2.25
O 0.9985 0.9966 0.7482  2 Nb 2.11-2.25

Values from the calculation:
**V**: 17.6 Å³ per atom
**Corrected total energy (MP2020 scheme)**: -426.0 eV per cell
**Electronic total energy**: -7.053 eV per atom


Material: KCr2FeO10
Method: DFT, PBE with a Hubbard U
State: relaxed

abc: 6.2275 6.2275 7.7932
angles: 112.39 112.39 52.07
Closest atoms and distances in Å follow each position.
Fractional coordinates of all 14 atoms:
K 0.0000 0.0000 0.0000  6 O 2.76-2.86
Cr 0.3928 0.3928 0.2229  4 O 1.61-1.73
Cr 0.6072 0.6072 0.7771  4 O 1.61-1.73
Fe 0.0000 0.0000 0.5000  6 O 1.83-1.91
O 0.1794 0.1794 0.5820  1 Fe 1.83
O 0.2315 0.7461 0.3181  1 Cr 1.73, 1 Fe 1.91
O 0.2539 0.7685 0.6819  1 Cr 1.73, 1 Fe 1.91
O 0.2610 0.2610 0.2589  1 Cr 1.61
O 0.3545 0.3545 0.9980  1 Cr 1.62
O 0.6455 0.6455 0.0020  1 Cr 1.62
O 0.7390 0.7390 0.7411  1 Cr 1.61
O 0.7461 0.2315 0.3181  1 Cr 1.73, 1 Fe 1.91
O 0.7685 0.2539 0.6819  1 Cr 1.73, 1 Fe 1.91
O 0.8206 0.8206 0.4180  1 Fe 1.83

Values from the calculation:
**V**: 15.4 Å³ per atom
**Magnetic moment**: 1.00 μB per cell
**Corrected total energy (MP2020 scheme)**: -95.7 eV per cell
**Electronic total energy**: -5.896 eV per atom


Material: KMnO4
Method: DFT, PBE with a Hubbard U
State: relaxed

abc: 9.2319 5.9293 7.5773
angles: 90.00 90.00 90.00
Closest atoms and distances in Å follow each position.
Fractional coordinates of all 24 atoms:
K 0.1811 0.2500 0.1569  8 O 2.82-3.09
K 0.3189 0.7500 0.6569  8 O 2.82-3.09
K 0.6811 0.2500 0.3431  8 O 2.82-3.09
K 0.8189 0.7500 0.8431  8 O 2.82-3.09
Mn 0.0594 0.2500 0.6891  4 O 1.61-1.62
Mn 0.4406 0.7500 0.1891  4 O 1.61-1.62
Mn 0.5594 0.2500 0.8109  4 O 1.61-1.62
Mn 0.9406 0.7500 0.3109  4 O 1.61-1.62
O 0.0783 0.0265 0.8108  1 Mn 1.62
O 0.0783 0.4735 0.8108  1 Mn 1.62
O 0.0999 0.7500 0.3983  1 Mn 1.61
O 0.1815 0.2500 0.5363  1 Mn 1.62
O 0.3185 0.7500 0.0363  1 Mn 1.62
O 0.4001 0.2500 0.8983  1 Mn 1.61
O 0.4217 0.5265 0.3108  1 Mn 1.62
O 0.4217 0.9735 0.3108  1 Mn 1.62
O 0.5783 0.0265 0.6892  1 Mn 1.62
O 0.5783 0.4735 0.6892  1 Mn 1.62
O 0.5999 0.7500 0.1017  1 Mn 1.61
O 0.6815 0.2500 0.9637  1 Mn 1.62
O 0.8185 0.7500 0.4637  1 Mn 1.62
O 0.9001 0.2500 0.6017  1 Mn 1.61
O 0.9217 0.5265 0.1892  1 Mn 1.62
O 0.9217 0.9735 0.1892  1 Mn 1.62

Values from the calculation:
**V**: 17.3 Å³ per atom
**Corrected total energy (MP2020 scheme)**: -155.2 eV per cell
**Electronic total energy**: -5.732 eV per atom


Material: NaLi2FePCO7
Method: DFT, PBE with a Hubbard U
State: relaxed

abc: 5.1056 6.6177 8.6051
angles: 90.00 95.39 90.00
Closest atoms and distances in Å follow each position.
Fractional coordinates of all 26 atoms:
Na 0.2339 0.0000 0.2608  5 O 2.33-2.49
Na 0.7661 0.5000 0.7392  5 O 2.33-2.49
Li 0.2323 0.4714 0.2784  5 O 2.10-2.27
Li 0.2830 0.7549 0.8968  3 O 1.95-2.15
Li 0.7170 0.2549 0.1032  3 O 1.95-2.15
Li 0.7677 0.9714 0.7216  5 O 2.10-2.27
Fe 0.2889 0.2341 0.6627  5 O 2.11-2.16
Fe 0.7111 0.7341 0.3373  5 O 2.11-2.16
P 0.2250 0.7390 0.5897  4 O 1.54-1.56
P 0.7750 0.2390 0.4103  4 O 1.54-1.56
C 0.1887 0.2491 0.9588  3 O 1.29-1.31
C 0.8113 0.7491 0.0412  3 O 1.29-1.31
O 0.0143 0.2227 0.8388  1 C 1.31
O 0.0797 0.2655 0.4366  1 P 1.56
O 0.1117 0.2716 0.0967  1 C 1.29
O 0.2919 0.5521 0.6968  1 P 1.56
O 0.3389 0.7217 0.4305  1 P 1.54
O 0.3461 0.9201 0.6888  1 P 1.56
O 0.4357 0.2514 0.9338  1 C 1.30
O 0.5643 0.7514 0.0662  1 C 1.30
O 0.6539 0.4201 0.3112  1 P 1.56
O 0.6611 0.2217 0.5695  1 P 1.54
O 0.7081 0.0521 0.3032  1 P 1.56
O 0.8883 0.7716 0.9033  1 C 1.29
O 0.9203 0.7655 0.5634  1 P 1.56
O 0.9857 0.7227 0.1612  1 C 1.31

Values from the calculation:
**V**: 11.1 Å³ per atom
**Magnetic moment**: 0.00 μB per cell
**Corrected total energy (MP2020 scheme)**: -186.2 eV per cell
**Energy above the most stable polymorph in this dataset**: 0.001 eV per atom
**Electronic total energy**: -6.617 eV per atom


Material: KP2W6O22
Method: DFT, PBE with a Hubbard U
State: relaxed

abc: 6.8106 5.4524 12.1390
angles: 90.00 92.75 90.00
Closest atoms and distances in Å follow each position.
Fractional coordinates of all 31 atoms:
K 0.0000 0.0000 0.0000  6 O 2.71-2.90
P 0.1953 0.5000 0.1005  4 O 1.53-1.57
P 0.5275 0.0000 0.9054  4 O 1.54-1.57
W 0.1893 0.0000 0.4413  6 O 1.93-2.02
W 0.2183 0.5000 0.8171  3 O 1.82-1.87
W 0.5076 0.0000 0.1880  3 O 1.82-1.86
W 0.5319 0.5000 0.5622  6 O 1.91-2.02
W 0.8527 0.5000 0.3110  6 O 1.87-2.09
W 0.8690 0.0000 0.6927  5 O 1.86-2.03
O 0.0092 0.5000 0.1673  1 P 1.54
O 0.0183 0.2501 0.3702  2 W 1.89-1.97
O 0.0183 0.7499 0.3702  2 W 1.89-1.97
O 0.0308 0.0000 0.5740  2 W 1.86-1.98
O 0.0412 0.2510 0.7743  2 W 1.87-2.03
O 0.0412 0.7490 0.7743  2 W 1.87-2.03
O 0.1158 0.5000 0.9767  1 P 1.57
O 0.3129 0.2632 0.1203  1 P 1.53
O 0.3129 0.7368 0.1203  1 P 1.53
O 0.3593 0.0000 0.3091  2 W 1.82-2.02
O 0.3614 0.2506 0.5027  2 W 1.91-1.93
O 0.3614 0.7494 0.5027  2 W 1.91-1.93
O 0.3630 0.5000 0.6950  2 W 1.82-2.02
O 0.4046 0.2327 0.8842  1 P 1.54
O 0.4046 0.7673 0.8842  1 P 1.54
O 0.6059 0.0000 0.0289  1 P 1.57
O 0.6815 0.2484 0.2318  2 W 1.86-2.01
O 0.6815 0.7516 0.2318  2 W 1.86-2.01
O 0.6904 0.5000 0.4312  2 W 1.87-1.96
O 0.7029 0.2504 0.6344  2 W 1.89-1.97
O 0.7029 0.7496 0.6344  2 W 1.89-1.97
O 0.7127 0.0000 0.8377  1 P 1.54

Values from the calculation:
**V**: 14.5 Å³ per atom
**Magnetic moment**: 3.01 μB per cell
**Corrected total energy (MP2020 scheme)**: -270.2 eV per cell
**Electronic total energy**: -7.370 eV per atom


Material: NaPrFe4O12
Method: DFT, PBE with a Hubbard U
State: relaxed

abc: 5.3949 5.3949 7.6942
angles: 90.00 90.00 90.00
Closest atoms and distances in Å follow each position.
Fractional coordinates of all 18 atoms:
Na 0.0000 0.0000 0.0000  12 O 2.70-2.80
Pr 0.5000 0.5000 0.5000  12 O 2.62-2.70
Fe 0.0000 0.5000 0.2438  6 O 1.88-1.97
Fe 0.0000 0.5000 0.7562  6 O 1.88-1.97
Fe 0.5000 0.0000 0.2438  6 O 1.88-1.97
Fe 0.5000 0.0000 0.7562  6 O 1.88-1.97
O 0.0000 0.5000 0.0000  2 Fe 1.88
O 0.0000 0.5000 0.5000  2 Fe 1.97
O 0.2574 0.2574 0.2587  2 Fe 1.91
O 0.2574 0.2574 0.7413  2 Fe 1.91
O 0.2574 0.7426 0.2587  2 Fe 1.91
O 0.2574 0.7426 0.7413  2 Fe 1.91
O 0.5000 0.0000 0.0000  2 Fe 1.88
O 0.5000 0.0000 0.5000  2 Fe 1.97
O 0.7426 0.2574 0.2587  2 Fe 1.91
O 0.7426 0.2574 0.7413  2 Fe 1.91
O 0.7426 0.7426 0.2587  2 Fe 1.91
O 0.7426 0.7426 0.7413  2 Fe 1.91

Values from the calculation:
**V**: 12.4 Å³ per atom
**Magnetic moment**: 19.33 μB per cell
**Corrected total energy (MP2020 scheme)**: -124.5 eV per cell
**Electronic total energy**: -5.957 eV per atom


electronic total energy of number 5 (KMnO4)? -5.732 eV per atom


corrected total energy (MP2020 scheme) of number 4 (KCr2FeO10)? -95.7 eV per cell


What is the V in the fifth record? 17.3 Å³ per atom